No. 1
Computed, not measured: a relaxed Ba2VCu2F12 crystal at the PBE+U level of DFT.

## Properties
- Energy with MP2020 corrections: -5.629 eV/atom
- SG: P-1

```
Ba2VCu2F12
1.0
5.416 0.000 0.000
2.227 6.729 0.000
2.510 2.272 6.596
F Ba Cu V
12 2 2 1
Direct
0.466 0.912 0.865
0.534 0.088 0.135
0.767 0.049 0.441
0.032 0.233 0.004
0.325 0.349 0.534
0.899 0.606 0.746
0.101 0.394 0.254
0.675 0.651 0.466
0.968 0.767 0.996
0.637 0.502 0.141
0.233 0.951 0.559
0.363 0.498 0.859
0.223 0.792 0.281
0.777 0.208 0.719
0.450 0.216 0.333
0.550 0.784 0.667
0.000 0.500 0.000
```

=====

No. 2
Computed, not measured: a relaxed Ba2V2ZnCuF14 crystal at the PBE+U level of DFT.

## Properties
- Energy with MP2020 corrections: -5.914 eV/atom
- SG: C2/c

```
Ba2V2ZnCuF14
1.0
-7.149 -1.662 -1.961
-4.481 -6.082 -0.801
-4.520 0.969 14.079
F V Ba Cu Zn
28 4 4 2 2
Direct
0.132 0.362 0.596
0.276 0.879 0.014
0.121 0.724 0.486
0.200 0.578 0.287
0.422 0.800 0.213
0.724 0.121 0.986
0.106 0.886 0.664
0.607 0.488 0.877
0.868 0.638 0.404
0.886 0.106 0.164
0.393 0.512 0.123
0.638 0.868 0.904
0.879 0.276 0.514
0.982 0.359 0.224
0.512 0.393 0.623
0.129 0.586 0.955
0.578 0.200 0.787
0.894 0.114 0.336
0.018 0.641 0.776
0.114 0.894 0.836
0.414 0.871 0.545
0.586 0.129 0.455
0.800 0.422 0.713
0.359 0.982 0.724
0.641 0.018 0.276
0.871 0.414 0.045
0.362 0.132 0.096
0.488 0.607 0.377
0.861 0.900 0.874
0.100 0.139 0.626
0.139 0.100 0.126
0.900 0.861 0.374
0.102 0.267 0.876
0.733 0.898 0.624
0.267 0.102 0.376
0.898 0.733 0.124
0.500 0.500 0.000
0.500 0.500 0.500
0.441 0.559 0.750
0.559 0.441 0.250
```

=====

No. 3
Computed, not measured: a relaxed BaLaFe2Cu2O11 crystal at the PBE+U level of DFT.

## Properties
- Energy with MP2020 corrections: -6.521 eV/atom
- SG: Pmm2

```
BaLaFe2Cu2O11
1.0
-5.194 0.281 1.426
-1.315 -3.196 -4.161
0.954 -6.617 4.781
O Cu Ba Fe La
11 2 1 2 1
Direct
0.256 0.764 0.987
0.748 0.769 0.502
0.744 0.236 0.987
0.256 0.236 0.987
0.252 0.769 0.502
0.500 0.500 0.262
0.748 0.231 0.502
0.000 0.000 0.737
0.744 0.764 0.987
0.252 0.231 0.502
0.500 0.500 0.734
0.500 0.500 0.487
0.000 0.000 0.016
0.000 0.500 0.752
0.000 0.000 0.504
0.500 0.500 0.043
0.500 0.000 0.760
```

=====

No. 4
Computed, not measured: a relaxed BaLuFeCuO5 crystal at the PBE+U level of DFT.

## Properties
- Energy with MP2020 corrections: -7.351 eV/atom
- SG: P4mm

```
BaLuFeCuO5
1.0
3.855 0.000 0.000
0.000 3.855 0.000
0.000 0.000 7.950
Ba O Cu Lu Fe
1 5 1 1 1
Direct
0.000 0.000 0.979
0.500 0.000 0.698
0.500 0.000 0.353
0.500 0.500 0.043
0.000 0.500 0.698
0.000 0.500 0.353
0.500 0.500 0.721
0.000 0.000 0.515
0.500 0.500 0.279
```

=====

No. 5
Computed, not measured: a relaxed BaYMgFeCuO5 crystal at the PBE+U level of DFT.

## Properties
- Energy above the most stable polymorph in this dataset: 0 meV per atom
- Energy with MP2020 corrections: -7.017 eV/atom
- SG: Cm

```
BaYMgFeCuO5
1.0
4.498 0.284 0.131
0.284 4.498 0.131
0.249 0.249 8.283
Y O Cu Fe Mg Ba
1 5 1 1 1 1
Direct
0.138 0.138 0.506
0.205 0.646 0.589
0.948 0.421 0.294
0.513 0.513 0.975
0.646 0.205 0.589
0.421 0.948 0.294
0.335 0.335 0.161
0.461 0.461 0.757
0.584 0.584 0.419
0.881 0.881 0.079
```

=====

No. 6
Computed, not measured: a relaxed BaYMgFeCuO5 crystal at the PBE+U level of DFT.

## Properties
- Energy above the most stable polymorph in this dataset: 121 meV per atom
- Energy with MP2020 corrections: -6.895 eV/atom
- SG: Pmm2

```
BaYMgFeCuO5
1.0
3.974 0.000 0.000
0.000 4.029 0.000
0.000 0.000 9.871
O Fe Cu Mg Y Ba
5 1 1 1 1 1
Direct
0.500 0.000 0.327
0.500 0.000 0.625
0.500 0.500 0.873
0.000 0.500 0.284
0.000 0.500 0.580
0.500 0.500 0.644
0.500 0.500 0.308
0.500 0.000 0.825
0.000 0.000 0.477
0.000 0.000 0.127
```

=====

No. 7
Computed, not measured: a relaxed BaYMgFeCuO5 crystal at the PBE+U level of DFT.

## Properties
- Energy above the most stable polymorph in this dataset: 157 meV per atom
- Energy with MP2020 corrections: -6.860 eV/atom
- SG: P4mm

```
BaYMgFeCuO5
1.0
-0.340 -3.739 -1.133
3.192 -0.922 2.083
-5.452 -1.794 7.560
Cu Fe O Mg Y Ba
1 1 5 1 1 1
Direct
0.500 0.500 0.274
0.500 0.500 0.732
0.000 0.500 0.626
0.000 0.500 0.285
0.500 0.500 0.940
0.500 0.000 0.285
0.500 0.000 0.626
0.000 0.000 0.696
0.000 0.000 0.412
0.000 0.000 0.045
```

=====

No. 8
Computed, not measured: a relaxed BaPrFeCuO5 crystal at the PBE+U level of DFT.

## Properties
- Energy with MP2020 corrections: -7.309 eV/atom
- SG: P4mm

```
BaPrFeCuO5
1.0
-0.247 1.088 3.800
3.788 -1.022 0.539
2.276 7.398 -1.971
O Fe Cu Pr Ba
5 1 1 1 1
Direct
0.000 0.500 0.422
0.500 0.000 0.422
0.000 0.000 0.719
0.500 0.000 0.038
0.000 0.500 0.038
0.000 0.000 0.486
0.000 0.000 0.013
0.500 0.500 0.235
0.500 0.500 0.765
```

=====

No. 9
Computed, not measured: a relaxed Ba4Pr4Fe4Cu4O21 crystal at the PBE+U level of DFT.

## Properties
- Energy with MP2020 corrections: -7.268 eV/atom
- SG: I4/mmm

```
Ba4Pr4Fe4Cu4O21
1.0
14.449 -7.591 0.478
15.593 -1.003 4.741
-16.142 2.370 0.669
Cu O Ba Pr Fe
4 21 4 4 4
Direct
0.694 0.694 0.000
0.194 0.194 0.000
0.306 0.306 0.000
0.806 0.806 0.000
0.619 0.619 0.000
0.381 0.381 0.000
0.949 0.949 0.497
0.811 0.292 0.000
0.453 0.949 0.000
0.292 0.292 0.481
0.875 0.875 0.000
0.811 0.811 0.519
0.051 0.547 0.000
0.547 0.547 0.497
0.708 0.708 0.519
0.189 0.708 0.000
0.500 0.500 0.000
0.453 0.453 0.503
0.125 0.125 0.000
0.189 0.189 0.481
0.547 0.051 0.000
0.708 0.189 0.000
0.051 0.051 0.503
0.949 0.453 0.000
0.292 0.811 0.000
0.370 0.870 0.500
0.130 0.630 0.500
0.870 0.370 0.500
0.630 0.130 0.500
0.750 0.250 0.500
0.500 0.000 0.500
0.000 0.500 0.500
0.250 0.750 0.500
0.440 0.440 0.000
0.934 0.934 0.000
0.066 0.066 0.000
0.560 0.560 0.000
```

=====

No. 10
Computed, not measured: a relaxed BaTmFeCuO5 crystal at the PBE+U level of DFT.

## Properties
- Energy with MP2020 corrections: -7.348 eV/atom
- SG: P4mm

```
BaTmFeCuO5
1.0
3.875 0.000 0.000
0.000 3.875 0.000
0.000 0.000 7.937
O Tm Ba Fe Cu
5 1 1 1 1
Direct
0.500 0.000 0.025
0.000 0.500 0.025
0.000 0.000 0.684
0.000 0.500 0.375
0.500 0.000 0.375
0.500 0.500 0.210
0.500 0.500 0.747
0.000 0.000 0.448
0.000 0.000 0.001
```

=====

No. 11
Computed, not measured: a relaxed BaYMgCuNiO5 crystal at the PBE+U level of DFT.

## Properties
- Energy with MP2020 corrections: -6.557 eV/atom
- SG: Pmm2

```
BaYMgCuNiO5
1.0
3.763 0.001 -0.001
0.000 4.096 0.000
-0.002 0.000 9.460
Cu Ba Y O Ni Mg
1 1 1 5 1 1
Direct
0.500 0.500 0.315
0.000 0.000 0.109
0.000 0.000 0.482
0.500 0.500 0.927
0.500 0.000 0.613
0.000 0.500 0.615
0.500 0.000 0.304
0.000 0.500 0.299
0.500 0.500 0.610
0.000 0.500 0.823
```

=====

No. 12
Computed, not measured: a relaxed BaYMgCuNiO5 crystal at the PBE+U level of DFT.

## Properties
- Energy with MP2020 corrections: -6.558 eV/atom
- SG: Pm

```
BaYMgCuNiO5
1.0
3.783 0.001 -0.014
0.000 4.054 -0.002
-0.033 -0.003 9.561
Cu O Mg Ba Y Ni
1 5 1 1 1 1
Direct
0.499 0.500 0.321
0.002 0.500 0.622
0.999 0.500 0.312
0.498 0.000 0.323
0.502 0.000 0.628
0.495 0.500 0.010
0.997 0.500 0.107
0.007 0.000 0.817
0.000 0.000 0.456
0.502 0.500 0.618
```

=====

No. 13
Computed, not measured: a relaxed BaMgV2CuO8 crystal at the PBE+U level of DFT.

## Properties
- Energy with MP2020 corrections: -7.509 eV/atom
- SG: Iba2

```
BaMgV2CuO8
1.0
-4.205 6.318 6.392
4.205 -6.318 6.392
4.205 6.318 -6.392
V Cu Mg O Ba
8 4 4 32 4
Direct
0.544 0.422 0.626
0.705 0.083 0.126
0.205 0.578 0.122
0.044 0.917 0.622
0.204 0.500 0.704
0.704 0.500 0.204
0.545 0.000 0.545
0.045 0.000 0.045
0.042 0.459 0.334
0.542 0.708 0.082
0.874 0.541 0.582
0.374 0.292 0.834
0.713 0.791 0.668
0.213 0.045 0.421
0.877 0.209 0.921
0.377 0.955 0.168
0.214 0.991 0.031
0.540 0.817 0.531
0.395 0.068 0.606
0.356 0.706 0.915
0.210 0.294 0.650
0.540 0.600 0.633
0.212 0.095 0.810
0.893 0.973 0.687
0.038 0.211 0.106
0.533 0.093 0.133
0.393 0.207 0.420
0.895 0.789 0.827
0.715 0.905 0.117
0.710 0.560 0.415
0.354 0.515 0.057
0.042 0.702 0.557
0.854 0.298 0.339
0.538 0.932 0.327
0.213 0.793 0.187
0.713 0.027 0.920
0.542 0.485 0.839
0.712 0.402 0.617
0.040 0.009 0.223
0.534 0.312 0.023
0.033 0.400 0.940
0.034 0.510 0.721
0.711 0.688 0.221
0.215 0.598 0.310
0.211 0.490 0.523
0.040 0.907 0.440
0.856 0.440 0.150
0.714 0.183 0.723
0.374 0.874 0.748
0.874 0.626 0.000
0.374 0.374 0.248
0.874 0.126 0.500
```

=====

No. 14
Computed, not measured: a relaxed BaMg2V6Cu8O26 crystal at the PBE+U level of DFT.

## Properties
- Energy with MP2020 corrections: -7.080 eV/atom
- SG: Pm

```
BaMg2V6Cu8O26
1.0
6.080 0.000 0.000
0.000 8.410 0.000
0.000 1.543 10.783
O V Cu Ba Mg
26 6 8 1 2
Direct
0.000 0.617 0.633
0.224 0.756 0.970
0.500 0.972 0.109
0.000 0.429 0.164
0.247 0.124 0.300
0.500 0.571 0.832
0.500 0.615 0.574
0.739 0.242 0.024
0.753 0.124 0.300
0.500 0.842 0.378
0.000 0.035 0.888
0.000 0.908 0.471
0.500 0.381 0.376
0.750 0.876 0.700
0.736 0.342 0.724
0.500 0.060 0.843
0.250 0.876 0.700
0.500 0.092 0.527
0.772 0.661 0.281
0.000 0.939 0.159
0.776 0.756 0.970
0.264 0.342 0.724
0.228 0.661 0.281
0.000 0.382 0.423
0.000 0.157 0.620
0.261 0.242 0.024
0.500 0.469 0.708
0.000 0.531 0.288
0.500 0.138 0.002
0.000 0.872 0.998
0.000 0.821 0.626
0.500 0.181 0.373
0.750 0.105 0.730
0.500 0.602 0.388
0.000 0.398 0.601
0.000 0.143 0.441
0.250 0.105 0.730
0.250 0.894 0.271
0.500 0.856 0.558
0.750 0.894 0.271
0.000 0.486 0.912
0.000 0.190 0.151
0.500 0.803 0.866
```

=====

No. 15
Computed, not measured: a relaxed Ba2MgCuWO6 crystal at the PBE+U level of DFT.

## Properties
- Energy with MP2020 corrections: -7.027 eV/atom
- SG: C2/m

```
Ba2MgCuWO6
1.0
5.245 -0.310 -2.614
-1.838 4.939 -2.623
0.468 0.623 6.627
O W Mg Ba Cu
6 1 1 2 1
Direct
0.319 0.319 0.638
0.742 0.278 0.000
0.258 0.722 0.000
0.681 0.681 0.362
0.262 0.216 0.000
0.738 0.784 0.000
0.500 0.500 0.000
0.500 0.000 0.000
0.178 0.678 0.355
0.822 0.322 0.645
0.000 0.000 0.000
```

=====

| no. | energy of formation from the pure elements (eV per atom) |
| --- | --- |
| 1 | -3.036 |
| 2 | -3.205 |
| 3 | -1.437 |
| 4 | -2.490 |
| 5 | -2.287 |
| 6 | -2.166 |
| 7 | -2.131 |
| 8 | -2.419 |
| 9 | -2.377 |
| 10 | -2.492 |
| 11 | -2.096 |
| 12 | -2.097 |
| 13 | -2.481 |
| 14 | -1.939 |
| 15 | -2.284 |